Computed, not measured: a relaxed structure of Cs3Ac at the GGA-PBE level of DFT.

Output
Formation energy from the elements, meV per atom: 536
Electronic total energy, eV/cell: -4.66

Lattice parameters (Å, degrees): 7.756 7.756 7.756 60.00 60.00 60.00
Sites, in units of the cell vectors:
Cs (0.250, 0.250, 0.250)
Cs (0.750, 0.750, 0.750)
Cs (0.500, 0.500, 0.500)
Ac (0.000, 0.000, 0.000)